i:
A relaxed Pr3Ag crystal. Source: the Materials Project database, functional PBE-GGA.

Properties
**Theoretical density**: 7182 kg/m³
**Spin magnetization**: 0.0 μB per formula unit

Cell: 6.2542 6.2542 6.2542 Å, 134.46 134.46 66.37°
Last column: nearest neighbours and their distance in Å.
Fractional positions:
Pr  0.7500  0.2500  0.5000  8 Pr 3.42-3.56, 4 Ag 3.56
Pr  0.2500  0.7500  0.5000  8 Pr 3.42-3.56, 4 Ag 3.56
Pr  0.5000  0.5000  0.0000  4 Ag 3.42, 8 Pr 3.56
Ag  0.0000  0.0000  0.0000  12 Pr 3.42-3.56



ii:
A relaxed Pr3Ag crystal. Source: the Materials Project database, functional PBE-GGA.

Properties
**Theoretical density**: 7162 kg/m³
**Spin magnetization**: 0.0 μB per formula unit

Cell: 7.2610 7.2610 5.3885 Å, 90.00 90.00 120.00°
Last column: nearest neighbours and their distance in Å.
Fractional positions:
Pr  0.1756  0.3512  0.2500  4 Ag 3.35-3.63, 6 Pr 3.44-3.48
Pr  0.6488  0.8244  0.2500  4 Ag 3.35-3.63, 6 Pr 3.44-3.48
Pr  0.1756  0.8244  0.2500  4 Ag 3.35-3.63, 6 Pr 3.44-3.48
Pr  0.8244  0.6488  0.7500  4 Ag 3.35-3.63, 6 Pr 3.44-3.48
Pr  0.3512  0.1756  0.7500  4 Ag 3.35-3.63, 6 Pr 3.44-3.48
Pr  0.8244  0.1756  0.7500  4 Ag 3.35-3.63, 6 Pr 3.44-3.48
Ag  0.3333  0.6667  0.7500  12 Pr 3.35-3.63
Ag  0.6667  0.3333  0.2500  12 Pr 3.35-3.63



The computed energies, referenced to the most stable structure and given in eV/atom, are i 0.000; ii 0.009.



i:
A relaxed TaAg7S6 crystal. Source: the Materials Project database, functional PBE-GGA.

Properties
**Theoretical density**: 6123 kg/m³
**Spin magnetization**: 0.0 μB per formula unit

Cell: 7.4468 7.7062 13.0983 Å, 54.51 90.00 90.00°
Last column: nearest neighbours and their distance in Å.
Fractional positions:
Ta  0.2525  0.9991  0.0034  4 S 2.32
Ta  0.7475  0.9991  0.5034  4 S 2.32
Ag  0.6466  0.4491  0.8489  3 S 2.55-2.80
Ag  0.9126  0.9045  0.8025  4 S 2.62-2.76
Ag  0.4696  0.0579  0.2364  3 S 2.52-2.57
Ag  0.7123  0.9896  0.9701  3 S 2.52-2.69
Ag  0.1199  0.3657  0.7121  3 S 2.55-2.65
Ag  0.3534  0.4491  0.3489  3 S 2.55-2.80
Ag  0.0403  0.2637  0.5208  3 S 2.52-2.66
Ag  0.8801  0.3657  0.2121  3 S 2.55-2.65
Ag  0.5702  0.5282  0.5453  3 S 2.53-2.66
Ag  0.9597  0.2637  0.0208  3 S 2.52-2.66
Ag  0.2877  0.9896  0.4701  3 S 2.52-2.69
Ag  0.0874  0.9045  0.3025  4 S 2.62-2.76
Ag  0.4298  0.5282  0.0453  3 S 2.53-2.66
Ag  0.5304  0.0579  0.7364  3 S 2.52-2.57
S  0.7706  0.2861  0.7386  6 Ag 2.52-2.76
S  0.5122  0.8402  0.6455  1 Ta 2.32, 2 Ag 2.52-2.56
S  0.2407  0.5539  0.4896  5 Ag 2.52-2.63
S  0.4878  0.8402  0.1455  1 Ta 2.32, 2 Ag 2.52-2.56
S  0.7593  0.5539  0.9896  5 Ag 2.52-2.63
S  0.2607  0.3676  0.8887  1 Ta 2.32, 1 Ag 2.55
S  0.7484  0.8809  0.3762  1 Ta 2.32, 1 Ag 2.57
S  0.2516  0.8809  0.8762  1 Ta 2.32, 1 Ag 2.57
S  0.9957  0.8615  0.1252  1 Ta 2.32, 1 Ag 2.57
S  0.2294  0.2861  0.2386  6 Ag 2.52-2.76
S  0.7393  0.3676  0.3887  1 Ta 2.32, 1 Ag 2.55
S  0.0043  0.8615  0.6252  1 Ta 2.32, 1 Ag 2.57



ii:
A relaxed TaAg7S6 crystal. Source: the Materials Project database, functional PBE-GGA.

Properties
**Theoretical density**: 5869 kg/m³
**Spin magnetization**: 0.0 μB per formula unit

Cell: 7.5361 7.6157 7.6199 Å, 92.61 117.90 118.36°
Last column: nearest neighbours and their distance in Å.
Fractional positions:
Ta  0.9836  0.4862  0.5054  4 S 2.27-2.35
Ag  0.8856  0.2622  0.8831  3 S 2.52-2.66
Ag  0.4537  0.1945  0.0877  4 S 2.57-2.81
Ag  0.0636  0.7183  0.0647  3 S 2.50-2.64
Ag  0.6165  0.6194  0.6756  4 S 2.56-2.73
Ag  0.0842  0.1843  0.3016  3 S 2.52-2.81
Ag  0.0926  0.9712  0.6195  2 S 2.51-2.52
Ag  0.4195  0.0174  0.4855  3 S 2.50-2.80
S  0.0060  0.0035  0.9637  5 Ag 2.50-2.69
S  0.5214  0.2859  0.7786  5 Ag 2.50-2.69
S  0.7484  0.1140  0.3698  1 Ta 2.34, 1 Ag 2.62
S  0.7292  0.6002  0.3861  1 Ta 2.30, 1 Ag 2.51
S  0.2157  0.5980  0.8647  1 Ta 2.27
S  0.2420  0.6129  0.3860  1 Ta 2.35, 3 Ag 2.56-2.62



The computed energies, referenced to the most stable structure and given in eV/atom, are i 0.000; ii 0.040.



i:
A relaxed Tl2Ag16Te11 crystal. Source: the Materials Project database, functional PBE-GGA.

Properties
**Theoretical density**: 7415 kg/m³
**Spin magnetization**: 0.2 μB per formula unit

Cell: 15.4684 15.4367 15.5003 Å, 43.54 43.24 43.40°
Last column: nearest neighbours and their distance in Å.
Fractional positions:
Tl  0.1908  0.1960  0.1913  9 Ag 3.59-4.02, 6 Te 3.59-3.67
Tl  0.2987  0.3062  0.3095  6 Ag 3.49-3.86, 6 Te 3.51-3.70
Tl  0.7044  0.6943  0.6926  5 Te 3.39-3.72, 7 Ag 3.44-3.79
Tl  0.8098  0.8038  0.7915  5 Te 3.39-3.77, 4 Ag 3.51-3.76
Ag  0.3759  0.1016  0.6009  4 Te 2.82-2.98, 3 Ag 2.96-3.15
Ag  0.1830  0.8118  0.2350  4 Te 2.82-2.97, 3 Ag 2.99-3.04
Ag  0.3848  0.3941  0.3849  4 Te 2.77-3.02, 2 Ag 3.01-3.10
Ag  0.5978  0.3968  0.0918  4 Te 2.89-2.92, 3 Ag 3.01-3.10
Ag  0.3114  0.2776  0.6816  4 Te 2.83-2.95, 3 Ag 3.01-3.09
Ag  0.4826  0.7368  0.0210  4 Te 2.87-2.97, 3 Ag 2.97-3.05
Ag  0.1056  0.9011  0.4098  4 Te 2.86-2.90, 1 Ag 2.99
Ag  0.7480  0.0102  0.4866  4 Te 2.85-2.92, 2 Ag 3.00-3.14
Ag  0.8186  0.2323  0.1790  4 Te 2.91-2.97, 4 Ag 2.97-3.19
Ag  0.4019  0.1143  0.9042  4 Te 2.79-2.89, 1 Ag 3.09
Ag  0.0997  0.5924  0.8844  4 Te 2.84-2.94, 3 Ag 2.91-3.12
Ag  0.6050  0.6119  0.1963  4 Te 2.82-3.10, 2 Ag 3.05-3.06
Ag  0.3892  0.3953  0.7964  3 Te 2.79-2.96, 2 Ag 2.91-3.10
Ag  0.4009  0.7926  0.3885  4 Te 2.80-3.09, 2 Ag 2.96-3.13
Ag  0.9074  0.4003  0.1109  4 Te 2.83-2.91, 2 Ag 2.97-3.06
Ag  0.5949  0.8909  0.0939  4 Te 2.88-2.94, 3 Ag 2.96-3.12
Ag  0.1753  0.7736  0.8235  4 Te 2.80-3.05, 4 Ag 2.99-3.12
Ag  0.2458  0.9873  0.5140  4 Te 2.85-2.92, 2 Ag 3.12-3.13
Ag  0.7923  0.3882  0.3998  3 Te 2.78-3.01, 1 Ag 2.96
Ag  0.8913  0.0941  0.5929  4 Te 2.84-2.90, 3 Ag 2.96-3.11
Ag  0.5123  0.2478  0.9863  4 Te 2.86-2.92, 2 Ag 3.10
Ag  0.7759  0.8187  0.1814  4 Te 2.80-3.03, 4 Ag 2.96-3.12
Ag  0.3969  0.6184  0.9101  4 Te 2.86-2.92, 3 Ag 3.07-3.19
Ag  0.6186  0.6167  0.6100  4 Te 2.81-3.03, 2 Ag 3.06-3.12
Ag  0.8223  0.1771  0.7758  4 Te 2.81-3.04, 4 Ag 3.00-3.11
Ag  0.9870  0.5128  0.2512  4 Te 2.85-2.90, 2 Ag 3.08-3.16
Ag  0.6179  0.9051  0.3973  4 Te 2.85-2.92, 2 Ag 2.96-3.06
Ag  0.3089  0.8877  0.8890  4 Te 2.84-3.08, 3 Ag 2.96-3.11
Ag  0.9106  0.4006  0.6128  4 Te 2.84-2.90, 3 Ag 3.06-3.15
Ag  0.8939  0.3028  0.8855  4 Te 2.84-3.16, 2 Ag 3.01-3.15
Ag  0.9022  0.8769  0.3091  4 Te 2.82-3.14, 2 Ag 3.00-3.04
Ag  0.8842  0.8868  0.8850  4 Te 2.88-3.04, 6 Ag 2.99-3.12
Te  0.0438  0.0416  0.0459  5 Ag 2.82-2.97
Te  0.0109  0.2529  0.4855  6 Ag 2.85-3.13
Te  0.2516  0.4851  0.0134  6 Ag 2.86-3.13
Te  0.4827  0.0125  0.2531  6 Ag 2.85-3.09
Te  0.1265  0.3444  0.6194  5 Ag 2.82-3.00
Te  0.3177  0.6111  0.1492  6 Ag 2.87-3.08
Te  0.6124  0.1343  0.3346  7 Ag 2.86-3.14
Te  0.1699  0.3686  0.8773  5 Ag 2.79-2.89
Te  0.4621  0.4457  0.4537  3 Ag 2.77-2.85
Te  0.3643  0.8807  0.1681  7 Ag 2.86-2.97
Te  0.1248  0.8291  0.6275  7 Ag 2.84-3.05
Te  0.8719  0.1699  0.3712  6 Ag 2.83-2.96
Te  0.6313  0.1231  0.8276  7 Ag 2.84-3.04
Te  0.5472  0.5462  0.5507  4 Ag 2.78-2.81
Te  0.8339  0.6289  0.1212  8 Ag 2.88-3.03
Te  0.3784  0.8712  0.6656  7 Ag 2.86-3.00
Te  0.6642  0.3812  0.8711  7 Ag 2.89-3.03
Te  0.8758  0.6646  0.3796  6 Ag 2.85-2.98
Te  0.5096  0.9835  0.7574  6 Ag 2.88-3.01
Te  0.7596  0.5205  0.9752  6 Ag 2.87-3.16
Te  0.9835  0.7492  0.5135  4 Ag 2.82-2.94
Te  0.9533  0.9533  0.9553  4 Ag 2.80-2.88



ii:
A relaxed Tl2Ag16Te11 crystal. Source: the Materials Project database, functional PBE-GGA.

Properties
**Theoretical density**: 7415 kg/m³
**Spin magnetization**: 0.0 μB per formula unit

Cell: 11.4113 11.4274 15.4367 Å, 111.55 90.02 119.68°
Last column: nearest neighbours and their distance in Å.
Fractional positions:
Tl  0.1913  0.8040  0.5781  1 Ag 2.45, 1 Te 2.51
Tl  0.3095  0.6938  0.9144  1 Te 2.51, 1 Ag 2.54
Tl  0.6926  0.3057  0.0913  1 Te 2.63
Tl  0.7915  0.1962  0.4050  1 Te 2.38, 1 Ag 2.59
Ag  0.6009  0.8984  0.0784  3 Te 2.66-2.95, 2 Ag 2.94-2.96
Ag  0.2350  0.1882  0.2298  1 Te 2.31, 1 Ag 2.34
Ag  0.3849  0.6059  0.1638  1 Te 2.47
Ag  0.0918  0.6032  0.0864  1 Ag 2.13
Ag  0.6816  0.7224  0.2706  1 Te 2.59, 1 Ag 2.72
Ag  0.0210  0.2632  0.2404  1 Ag 2.31
Ag  0.4098  0.0989  0.4165  1 Ag 2.47
Ag  0.4866  0.9898  0.2449  1 Te 2.52
Ag  0.1790  0.7677  0.2299  1 Ag 2.13
Ag  0.9042  0.8857  0.4204  3 Te 2.66-2.91, 2 Ag 2.68-2.72
Ag  0.8844  0.4076  0.5766  2 Te 2.58-2.87, 1 Tl 2.59, 1 Ag 2.87
Ag  0.1963  0.3881  0.4131  3 Ag 2.74-3.00, 3 Te 2.82-2.93
Ag  0.7964  0.6047  0.5809  2 Ag 2.70-2.87, 3 Te 2.78-2.94
Ag  0.3885  0.2074  0.5820  1 Te 2.26, 1 Ag 2.47
Ag  0.1109  0.5997  0.4187  1 Te 2.45, 1 Tl 2.45
Ag  0.0939  0.1091  0.5796  4 Ag 2.67-2.97, 3 Te 2.73-2.89
Ag  0.8235  0.2264  0.7724  2 Ag 2.14-2.21
Ag  0.5140  0.0127  0.7470  2 Te 2.59-2.85, 1 Ag 2.80
Ag  0.3998  0.6118  0.5802  1 Te 2.39
Ag  0.5929  0.9059  0.5783  3 Ag 2.80-2.98, 2 Te 2.84-2.86
Ag  0.9863  0.7522  0.7465  2 Ag 2.70-2.88, 2 Te 2.89-2.90
Ag  0.1814  0.1813  0.7761  2 Te 2.51-2.62
Ag  0.9101  0.3816  0.9254  1 Ag 2.21
Ag  0.6100  0.3833  0.8453  1 Ag 2.30
Ag  0.7758  0.8229  0.7752  1 Te 2.20
Ag  0.2512  0.4872  0.7510  1 Te 2.48, 1 Tl 2.54
Ag  0.3973  0.0949  0.9203  3 Te 2.62-2.89, 1 Ag 2.75
Ag  0.8890  0.1123  0.0856  1 Ag 2.31
Ag  0.6128  0.5994  0.9241  1 Ag 2.30, 1 Te 2.40
Ag  0.8855  0.6972  0.0822  2 Te 2.36-2.40
Ag  0.3091  0.1231  0.0881  1 Ag 2.34
Ag  0.8850  0.1132  0.6559  1 Ag 2.14, 1 Te 2.24
Te  0.0459  0.9584  0.1313  2 Ag 2.31-2.40
Te  0.4855  0.7471  0.7493  1 Ag 2.39
Te  0.0134  0.5149  0.7502  2 Ag 2.58-2.88
Te  0.2531  0.9875  0.7483  1 Tl 2.51, 2 Ag 2.62
Te  0.6194  0.6556  0.0903  2 Ag 2.40-2.59
Te  0.1492  0.3889  0.0781  1 Ag 2.47
Te  0.3346  0.8657  0.0813  1 Tl 2.51, 1 Ag 2.52
Te  0.8773  0.6314  0.4158  3 Ag 2.74-2.87, 1 Te 3.03
Te  0.4537  0.5543  0.3615  2 Ag 2.91-3.08
Te  0.1681  0.1193  0.4131  4 Ag 2.73-2.93
Te  0.6275  0.1709  0.5814  4 Ag 2.84-3.12
Te  0.3712  0.8301  0.4130  3 Ag 2.86-3.14
Te  0.8276  0.8769  0.5819  1 Ag 2.24
Te  0.5507  0.4538  0.6442  1 Ag 2.26
Te  0.1212  0.3711  0.5840  1 Ag 2.48
Te  0.6656  0.1288  0.9153  3 Ag 2.59-2.89, 1 Tl 2.63
Te  0.8711  0.6188  0.9165  1 Ag 2.36
Te  0.3796  0.3354  0.9199  2 Ag 2.51-2.75
Te  0.7574  0.0165  0.2506  1 Tl 2.38, 1 Ag 2.66
Te  0.9752  0.4795  0.2553  2 Ag 2.45-2.70
Te  0.5135  0.2508  0.2462  3 Ag 2.74-2.88
Te  0.9553  0.0467  0.8619  1 Ag 2.20



The computed energies, referenced to the most stable structure and given in eV/atom, are i 0.000; ii 0.605.